Record 1
{
  "formula": "Se2NCl3",
  "functional": "PBE",
  "state": "relaxed",
  "e_tot_ev_per_atom": -3.4492,
  "energy_corrected_mp2020_ev_per_cell": -90.1,
  "polymorph_energy_mev_per_atom": 3,
  "e_form_ev_per_atom": -0.277,
  "lattice_angstrom": [[-7.916, -5.038, 2.756], [4.354, -6.549, 0.532], [2.224, 1.542, 9.204]],
  "species": ["Cl", "Cl", "Cl", "Cl", "Cl", "Cl", "Cl", "Cl", "Cl", "Cl", "Cl", "Cl", "Se", "Se", "Se", "Se", "Se", "Se", "Se", "Se", "N", "N", "N", "N"],
  "fractional_positions": [[0.147, 0.795, 0.492], [0.853, 0.205, 0.508], [0.326, 0.525, 0.883], [0.404, 0.843, 0.168], [0.826, 0.975, 0.117], [0.904, 0.657, 0.832], [0.096, 0.343, 0.168], [0.647, 0.705, 0.508], [0.674, 0.475, 0.117], [0.596, 0.157, 0.832], [0.353, 0.295, 0.492], [0.174, 0.025, 0.883], [0.885, 0.449, 0.683], [0.030, 0.108, 0.715], [0.115, 0.551, 0.317], [0.470, 0.608, 0.715], [0.385, 0.051, 0.317], [0.970, 0.892, 0.285], [0.615, 0.949, 0.683], [0.530, 0.392, 0.285], [0.501, 0.811, 0.776], [0.999, 0.311, 0.776], [0.499, 0.189, 0.224], [0.001, 0.689, 0.224]]
}


Record 2
{
  "formula": "SrLaMgNbZnO6",
  "functional": "PBE",
  "state": "relaxed",
  "e_tot_ev_per_atom": -6.8258,
  "energy_corrected_mp2020_ev_per_cell": -79.2,
  "e_form_ev_per_atom": -2.721,
  "lattice_angstrom": [[5.889, 0.000, 0.000], [2.944, 5.100, 0.000], [2.944, 1.700, 6.712]],
  "species": ["Sr", "O", "O", "O", "O", "O", "O", "Nb", "Mg", "Zn", "La"],
  "fractional_positions": [[0.204, 0.204, 0.387], [0.719, 0.270, 0.291], [0.281, 0.782, 0.656], [0.270, 0.719, 0.291], [0.281, 0.281, 0.656], [0.782, 0.281, 0.656], [0.719, 0.719, 0.291], [0.488, 0.488, 0.535], [0.924, 0.924, 0.229], [0.054, 0.054, 0.837], [0.652, 0.652, 0.045]]
}


Record 3
{
  "formula": "FeSnN2",
  "functional": "PBE",
  "state": "relaxed",
  "e_tot_ev_per_atom": -6.9885,
  "energy_corrected_mp2020_ev_per_cell": -114.7,
  "e_form_ev_per_atom": 0.119,
  "lattice_angstrom": [[-2.339, 2.594, 4.529], [-4.111, -6.096, 1.368], [3.672, -1.817, 2.937]],
  "species": ["N", "N", "N", "N", "N", "N", "N", "N", "Fe", "Fe", "Fe", "Fe", "Sn", "Sn", "Sn", "Sn"],
  "fractional_positions": [[0.228, 0.244, 0.393], [0.472, 0.103, 0.851], [0.272, 0.744, 0.893], [0.528, 0.897, 0.351], [0.972, 0.397, 0.851], [0.728, 0.256, 0.393], [0.772, 0.756, 0.893], [0.028, 0.603, 0.351], [0.485, 0.124, 0.491], [0.015, 0.624, 0.991], [0.515, 0.876, 0.991], [0.985, 0.376, 0.491], [0.410, 0.625, 0.507], [0.590, 0.375, 0.007], [0.910, 0.875, 0.507], [0.090, 0.125, 0.007]]
}


Record 4
{
  "formula": "Cu5H8Cl2O10",
  "functional": "PBE",
  "state": "relaxed",
  "e_tot_ev_per_atom": -4.6681,
  "energy_corrected_mp2020_ev_per_cell": -123.6,
  "e_form_ev_per_atom": -0.910,
  "lattice_angstrom": [[5.931, 0.000, 0.000], [-2.234, 5.524, 0.000], [-2.763, -2.047, 8.251]],
  "species": ["O", "O", "O", "O", "O", "O", "O", "O", "O", "O", "H", "H", "H", "H", "H", "H", "H", "H", "Cu", "Cu", "Cu", "Cu", "Cu", "Cl", "Cl"],
  "fractional_positions": [[0.975, 0.241, 0.832], [0.681, 0.159, 0.496], [0.025, 0.759, 0.168], [0.132, 0.787, 0.914], [0.585, 0.859, 0.834], [0.415, 0.141, 0.166], [0.868, 0.213, 0.086], [0.867, 0.669, 0.585], [0.319, 0.841, 0.504], [0.133, 0.331, 0.415], [0.502, 0.670, 0.801], [0.211, 0.516, 0.454], [0.986, 0.704, 0.699], [0.498, 0.330, 0.199], [0.014, 0.296, 0.301], [0.127, 0.290, 0.795], [0.789, 0.484, 0.546], [0.873, 0.710, 0.205], [0.000, 0.500, 0.000], [0.364, 0.971, 0.334], [0.636, 0.029, 0.666], [0.500, 0.000, 0.000], [0.000, 0.000, 0.000], [0.526, 0.663, 0.200], [0.474, 0.337, 0.800]]
}


Record 5
{
  "formula": "Nd2MgSe4",
  "functional": "PBE",
  "state": "relaxed",
  "e_tot_ev_per_atom": -5.2393,
  "energy_corrected_mp2020_ev_per_cell": -77.1,
  "polymorph_energy_mev_per_atom": 14,
  "e_form_ev_per_atom": -1.920,
  "lattice_angstrom": [[-3.954, 2.572, 7.059], [-4.896, 6.933, -0.164], [-8.432, -0.742, 0.652]],
  "species": ["Nd", "Nd", "Nd", "Nd", "Mg", "Mg", "Se", "Se", "Se", "Se", "Se", "Se", "Se", "Se"],
  "fractional_positions": [[0.125, 0.125, 0.625], [0.125, 0.625, 0.125], [0.625, 0.125, 0.125], [0.125, 0.125, 0.125], [0.500, 0.500, 0.500], [0.750, 0.750, 0.750], [0.372, 0.372, 0.883], [0.372, 0.372, 0.372], [0.878, 0.878, 0.878], [0.367, 0.878, 0.878], [0.878, 0.367, 0.878], [0.372, 0.883, 0.372], [0.883, 0.372, 0.372], [0.878, 0.878, 0.367]]
}


Record 6
{
  "formula": "Tb2Si3",
  "functional": "PBE",
  "state": "relaxed",
  "e_tot_ev_per_atom": -5.7333,
  "energy_corrected_mp2020_ev_per_cell": -28.5,
  "polymorph_energy_mev_per_atom": 59,
  "e_form_ev_per_atom": -0.582,
  "lattice_angstrom": [[-0.664, 5.980, 4.373], [0.238, 7.370, -0.979], [-2.563, -6.669, -2.072]],
  "species": ["Si", "Si", "Si", "Tb", "Tb"],
  "fractional_positions": [[0.701, 0.201, 0.500], [0.532, 0.032, 0.500], [0.801, 0.801, 0.000], [0.373, 0.373, 0.000], [0.127, 0.627, 0.500]]
}


Record 7
{
  "formula": "Ta6Fe7",
  "functional": "PBE",
  "state": "relaxed",
  "e_tot_ev_per_atom": -10.2272,
  "e_form_ev_per_atom": -0.194,
  "lattice_angstrom": [[1.080, 2.785, -3.836], [4.578, 1.471, -0.725], [3.433, -5.744, -6.285]],
  "species": ["Fe", "Fe", "Fe", "Fe", "Fe", "Fe", "Fe", "Ta", "Ta", "Ta", "Ta", "Ta", "Ta"],
  "fractional_positions": [[0.595, 0.090, 0.225], [0.405, 0.910, 0.775], [0.000, 0.000, 0.000], [0.090, 0.595, 0.225], [0.910, 0.405, 0.775], [0.910, 0.910, 0.775], [0.090, 0.090, 0.225], [0.166, 0.166, 0.501], [0.655, 0.655, 0.036], [0.551, 0.551, 0.348], [0.449, 0.449, 0.652], [0.834, 0.834, 0.499], [0.345, 0.345, 0.964]]
}


Record 8
{
  "formula": "Li4TiO4",
  "functional": "PBE",
  "state": "relaxed",
  "e_tot_ev_per_atom": -6.2476,
  "energy_corrected_mp2020_ev_per_cell": -471.8,
  "e_form_ev_per_atom": -2.628,
  "lattice_angstrom": [[-8.182, -4.606, 1.698], [-1.452, -0.761, -9.060], [4.543, -8.125, -0.152]],
  "species": ["O", "O", "O", "O", "O", "O", "O", "O", "O", "O", "O", "O", "O", "O", "O", "O", "O", "O", "O", "O", "O", "O", "O", "O", "O", "O", "O", "O", "O", "O", "O", "O", "Li", "Li", "Li", "Li", "Li", "Li", "Li", "Li", "Li", "Li", "Li", "Li", "Li", "Li", "Li", "Li", "Li", "Li", "Li", "Li", "Li", "Li", "Li", "Li", "Li", "Li", "Li", "Li", "Li", "Li", "Li", "Li", "Ti", "Ti", "Ti", "Ti", "Ti", "Ti", "Ti", "Ti"],
  "fractional_positions": [[0.004, 0.255, 0.268], [0.009, 0.486, 0.003], [0.759, 0.526, 0.231], [0.241, 0.526, 0.731], [0.484, 0.246, 0.273], [0.263, 0.718, 0.492], [0.514, 0.494, 0.010], [0.790, 0.976, 0.735], [0.785, 0.746, 0.501], [0.524, 0.021, 0.503], [0.996, 0.255, 0.768], [0.991, 0.992, 0.996], [0.256, 0.069, 0.759], [0.767, 0.462, 0.761], [0.278, 0.270, 0.988], [0.009, 0.992, 0.496], [0.476, 0.021, 0.003], [0.737, 0.718, 0.992], [0.215, 0.746, 0.001], [0.484, 0.719, 0.744], [0.210, 0.976, 0.235], [0.980, 0.737, 0.720], [0.516, 0.719, 0.244], [0.744, 0.069, 0.259], [0.991, 0.486, 0.503], [0.020, 0.737, 0.220], [0.233, 0.462, 0.261], [0.205, 0.253, 0.496], [0.795, 0.253, 0.996], [0.722, 0.270, 0.488], [0.516, 0.246, 0.773], [0.486, 0.494, 0.510], [0.139, 0.843, 0.391], [0.160, 0.355, 0.682], [0.861, 0.843, 0.891], [0.143, 0.597, 0.127], [0.879, 0.130, 0.399], [0.355, 0.093, 0.580], [0.384, 0.054, 0.182], [0.840, 0.355, 0.182], [0.133, 0.336, 0.103], [0.900, 0.102, 0.138], [0.119, 0.648, 0.854], [0.623, 0.357, 0.906], [0.870, 0.100, 0.860], [0.649, 0.646, 0.821], [0.400, 0.369, 0.134], [0.857, 0.597, 0.627], [0.351, 0.646, 0.321], [0.359, 0.448, 0.882], [0.377, 0.357, 0.406], [0.111, 0.634, 0.596], [0.645, 0.093, 0.080], [0.600, 0.369, 0.634], [0.889, 0.634, 0.096], [0.616, 0.054, 0.682], [0.121, 0.130, 0.899], [0.867, 0.336, 0.603], [0.641, 0.448, 0.382], [0.100, 0.102, 0.638], [0.398, 0.789, 0.919], [0.130, 0.100, 0.360], [0.602, 0.789, 0.419], [0.881, 0.648, 0.354], [0.897, 0.379, 0.884], [0.890, 0.872, 0.606], [0.378, 0.622, 0.620], [0.622, 0.622, 0.120], [0.103, 0.379, 0.384], [0.110, 0.872, 0.106], [0.613, 0.145, 0.380], [0.387, 0.145, 0.880]]
}


Record 9
{
  "formula": "InFe2CuSe4",
  "functional": "PBE",
  "state": "relaxed",
  "e_tot_ev_per_atom": -4.9240,
  "energy_corrected_mp2020_ev_per_cell": -41.3,
  "e_form_ev_per_atom": -0.438,
  "lattice_angstrom": [[-2.882, 2.882, 5.777], [2.882, -2.882, 5.777], [2.882, 2.882, -5.777]],
  "species": ["Se", "Se", "Se", "Se", "Fe", "Fe", "Cu", "In"],
  "fractional_positions": [[0.400, 0.865, 0.000], [0.600, 0.600, 0.466], [0.135, 0.135, 0.534], [0.865, 0.400, 0.000], [0.250, 0.750, 0.500], [0.750, 0.250, 0.500], [0.500, 0.500, 0.000], [0.000, 0.000, 0.000]]
}


Record 10
{
  "formula": "BaCu6Te6S",
  "functional": "PBE",
  "state": "relaxed",
  "e_tot_ev_per_atom": -3.8539,
  "energy_corrected_mp2020_ev_per_cell": -54.5,
  "e_form_ev_per_atom": -0.353,
  "lattice_angstrom": [[-4.995, 4.668, -1.298], [-4.802, -4.953, 0.668], [-0.547, 1.327, 6.875]],
  "species": ["Cu", "Cu", "Cu", "Cu", "Cu", "Cu", "Te", "Te", "Te", "Te", "Te", "Te", "S", "Ba"],
  "fractional_positions": [[0.194, 0.190, 0.195], [0.805, 0.797, 0.805], [0.805, 0.203, 0.195], [0.811, 0.190, 0.811], [0.194, 0.810, 0.805], [0.811, 0.810, 0.189], [0.701, 0.000, 0.500], [0.000, 0.505, 0.297], [0.496, 0.295, 0.999], [0.000, 0.495, 0.703], [0.295, 0.000, 0.500], [0.496, 0.705, 0.001], [0.006, 0.000, 0.000], [0.499, 0.500, 0.500]]
}


Record 11
{
  "formula": "TaAlO4",
  "functional": "PBE",
  "state": "relaxed",
  "e_tot_ev_per_atom": -8.8433,
  "energy_corrected_mp2020_ev_per_cell": -111.6,
  "e_form_ev_per_atom": -3.402,
  "lattice_angstrom": [[0.146, 2.364, -2.988], [4.057, 2.275, 4.431], [3.251, -4.504, -3.405]],
  "species": ["Ta", "Ta", "O", "O", "O", "O", "O", "O", "O", "O", "Al", "Al"],
  "fractional_positions": [[0.894, 0.789, 0.767], [0.106, 0.211, 0.233], [0.859, 0.718, 0.474], [0.057, 0.115, 0.864], [0.262, 0.524, 0.142], [0.943, 0.885, 0.136], [0.141, 0.282, 0.526], [0.642, 0.283, 0.203], [0.738, 0.476, 0.858], [0.358, 0.717, 0.797], [0.799, 0.599, 0.180], [0.201, 0.401, 0.820]]
}


Record 12
{
  "formula": "LiEr2In",
  "functional": "PBE",
  "state": "relaxed",
  "e_tot_ev_per_atom": -3.7000,
  "e_form_ev_per_atom": -0.251,
  "lattice_angstrom": [[0.078, 3.572, 3.813], [-0.554, 5.066, -1.154], [-4.388, 2.514, 1.315]],
  "species": ["Er", "Er", "In", "Li"],
  "fractional_positions": [[0.750, 0.750, 0.750], [0.250, 0.250, 0.250], [0.500, 0.500, 0.500], [0.000, 0.000, 0.000]]
}